1.
First-principles (PBE) data for a relaxed structure of Zr10C9, as listed in the Materials Project.

```
Zr10C9
1.0
-3.384 -7.813 -2.386
-2.712 -3.642 -7.588
6.886 -7.195 -4.879
Zr C
20 18
direct
0.478 0.224 0.447
0.522 0.776 0.553
0.721 0.967 0.956
0.331 0.565 0.148
0.033 0.279 0.544
0.628 0.876 0.750
0.814 0.082 0.145
0.669 0.435 0.852
0.124 0.372 0.750
0.279 0.033 0.044
0.967 0.721 0.456
0.435 0.669 0.352
0.186 0.918 0.855
0.565 0.331 0.648
0.918 0.186 0.355
0.224 0.478 0.947
0.372 0.124 0.250
0.876 0.628 0.250
0.082 0.814 0.645
0.776 0.522 0.053
0.827 0.575 0.648
0.025 0.777 0.050
0.321 0.076 0.650
0.575 0.827 0.148
0.377 0.623 0.750
0.924 0.679 0.850
0.173 0.425 0.352
0.275 0.528 0.551
0.623 0.377 0.250
0.777 0.025 0.550
0.679 0.924 0.350
0.223 0.975 0.450
0.528 0.275 0.051
0.425 0.173 0.852
0.725 0.472 0.449
0.472 0.725 0.949
0.076 0.321 0.150
0.975 0.223 0.950
```

2.
First-principles (PBE) data for a relaxed structure of Ba2YMgNbO6, as listed in the Materials Project.

Calculated values
Total magnetic moment = 0.00 μB per cell

```
Ba2YMgNbO6
1.0
5.664 0.355 3.849
2.222 5.223 3.849
0.502 0.355 6.829
O Y Mg Nb Ba
6 1 1 1 2
direct
0.248 0.739 0.740
0.747 0.272 0.272
0.740 0.248 0.740
0.272 0.272 0.747
0.740 0.739 0.248
0.272 0.746 0.272
0.994 0.993 0.994
0.368 0.367 0.368
0.520 0.518 0.520
0.198 0.197 0.198
0.775 0.774 0.775
```

3.
First-principles (PBE) data for a relaxed structure of Hf2Sc3Si4, as listed in the Materials Project.

Calculated values
Total magnetic moment = 0.01 μB per cell

```
Hf2Sc3Si4
1.0
7.171 0.000 0.000
0.000 7.171 0.000
0.000 0.000 12.995
Si Hf Sc
16 8 12
direct
0.209 0.144 0.676
0.791 0.856 0.176
0.291 0.644 0.574
0.700 0.052 0.564
0.856 0.791 0.824
0.448 0.200 0.814
0.052 0.700 0.436
0.300 0.948 0.064
0.644 0.291 0.426
0.800 0.552 0.686
0.948 0.300 0.936
0.709 0.356 0.074
0.200 0.448 0.186
0.552 0.800 0.314
0.356 0.709 0.926
0.144 0.209 0.324
0.499 0.642 0.124
0.358 0.501 0.376
0.642 0.499 0.876
0.858 0.999 0.374
0.501 0.358 0.624
0.999 0.858 0.626
0.142 0.001 0.874
0.001 0.142 0.126
0.654 0.996 0.965
0.823 0.177 0.750
0.346 0.004 0.465
0.996 0.654 0.035
0.177 0.823 0.250
0.496 0.846 0.715
0.004 0.346 0.535
0.677 0.677 0.500
0.323 0.323 0.000
0.504 0.154 0.215
0.846 0.496 0.285
0.154 0.504 0.785
```

4.
First-principles (PBE) data for a relaxed structure of Mg16BeAl12, as listed in the Materials Project.

Calculated values
Total magnetic moment = 0.00 μB per cell

```
Mg16BeAl12
1.0
5.240 -7.302 0.000
5.240 7.302 0.000
-4.938 0.000 7.510
Mg Al Be
16 12 1
direct
0.581 0.299 0.581
0.405 0.004 0.683
0.299 0.581 0.581
0.405 0.683 0.004
0.317 0.720 0.317
0.003 0.003 0.653
0.317 0.317 0.720
0.003 0.653 0.003
0.996 0.996 0.996
0.720 0.317 0.317
0.581 0.581 0.299
0.004 0.405 0.683
0.004 0.683 0.405
0.653 0.003 0.003
0.683 0.405 0.004
0.683 0.004 0.405
0.367 0.185 0.005
0.185 0.367 0.005
0.195 0.817 0.817
0.005 0.367 0.185
0.185 0.005 0.367
0.645 0.834 0.645
0.817 0.817 0.195
0.005 0.185 0.367
0.367 0.005 0.185
0.817 0.195 0.817
0.834 0.645 0.645
0.645 0.645 0.834
0.279 0.279 0.279
```

5.
First-principles (PBE) data for a relaxed structure of Tl4Te3Pb, as listed in the Materials Project.

```
Tl4Te3Pb
1.0
-2.947 -8.703 -1.245
-2.344 -1.059 8.908
-3.198 7.043 -5.112
Tl Te Pb
8 6 2
direct
0.804 0.011 0.500
0.511 0.304 0.500
0.696 0.196 0.206
0.489 0.696 0.500
0.196 0.989 0.500
0.304 0.804 0.794
0.989 0.489 0.794
0.011 0.511 0.206
0.750 0.750 0.000
0.336 0.836 0.171
0.836 0.664 0.500
0.664 0.164 0.829
0.164 0.336 0.500
0.250 0.250 0.000
0.000 0.000 0.000
0.500 0.500 0.000
```

6.
First-principles (PBE) data for a relaxed structure of TiP4O12, as listed in the Materials Project.

Calculated values
Total magnetic moment = 0.00 μB per cell

```
TiP4O12
1.0
-3.663 -2.031 -5.592
6.675 -1.742 -1.108
-1.311 -8.802 3.590
O P Ti
24 8 2
direct
0.243 0.716 0.609
0.137 0.670 0.147
0.500 0.713 0.097
0.929 0.747 0.410
0.500 0.287 0.903
0.253 0.071 0.090
0.859 0.853 0.655
0.863 0.330 0.853
0.747 0.929 0.910
0.287 0.500 0.403
0.147 0.141 0.845
0.411 0.234 0.522
0.713 0.500 0.597
0.589 0.766 0.478
0.330 0.863 0.353
0.757 0.284 0.391
0.853 0.859 0.155
0.141 0.147 0.345
0.071 0.253 0.590
0.766 0.589 0.978
0.670 0.137 0.647
0.234 0.411 0.022
0.716 0.243 0.109
0.284 0.757 0.891
0.217 0.276 0.466
0.276 0.217 0.966
0.719 0.348 0.974
0.348 0.719 0.474
0.783 0.724 0.534
0.281 0.652 0.026
0.724 0.783 0.034
0.652 0.281 0.526
0.893 0.107 0.750
0.107 0.893 0.250
```

7.
First-principles (PBE) data for a relaxed structure of Sc2Co3N4, as listed in the Materials Project.

Calculated values
Total magnetic moment = 0.02 μB per cell

```
Sc2Co3N4
1.0
-4.757 1.881 2.306
1.952 -6.258 -4.417
0.281 -3.353 4.874
N Sc Co
8 4 6
direct
0.781 0.771 0.006
0.243 0.764 0.988
0.757 0.521 0.512
0.781 0.011 0.506
0.219 0.989 0.494
0.243 0.479 0.488
0.219 0.229 0.994
0.757 0.236 0.012
0.683 0.227 0.645
0.317 0.544 0.855
0.683 0.456 0.145
0.317 0.773 0.355
0.762 0.000 0.948
0.762 0.762 0.448
0.000 0.748 0.750
0.000 0.252 0.250
0.238 0.000 0.052
0.238 0.238 0.552
```

8.
First-principles (PBE) data for a relaxed structure of MnCr2Se4, as listed in the Materials Project.

```
MnCr2Se4
1.0
0.894 -6.993 0.307
2.151 -5.698 3.564
-4.530 -3.395 3.098
Se Cr Mn
4 2 1
direct
0.128 0.128 0.543
0.872 0.872 0.457
0.363 0.363 0.978
0.637 0.637 0.022
0.259 0.259 0.726
0.741 0.741 0.274
0.000 0.000 0.000
```

no.,electronic total energy (eV/atom),ΔE_f (meV/atom)
1,-9.672,-801
2,-7.170,-2846
3,-7.520,-754
4,-2.545,17
5,-3.154,-330
6,-7.453,-2707
7,-8.014,-693
8,-6.565,-770